(1)
Material: PrUS2
Method: DFT, r2SCAN
State: optimized geometry

- SG = No. 166
- E_form (eV/atom) = -1.994

The structure in CIF format:
```
data_PrUS2
_cell_length_a 7.151
_cell_length_b 7.151
_cell_length_c 7.151
_cell_angle_alpha 32.28
_cell_angle_beta 32.28
_cell_angle_gamma 32.28
_symmetry_space_group_name_H-M 'P 1'
_symmetry_Int_Tables_number 1
loop_
_symmetry_equiv_pos_as_xyz
'x,y,z'
loop_
_atom_site_label
_atom_site_fract_x
_atom_site_fract_y
_atom_site_fract_z
Pr1 0.000 0.000 0.000
U1 0.500 0.500 0.500
S1 0.247 0.247 0.247
S2 0.753 0.753 0.753
```



(2)
Material: InPd5Se
Method: DFT, r2SCAN
State: optimized geometry

- SG = No. 123
- E_form (eV/atom) = -0.402

The structure in CIF format:
```
data_InPd5Se
_cell_length_a 4.055
_cell_length_b 4.055
_cell_length_c 7.069
_cell_angle_alpha 90.00
_cell_angle_beta 90.00
_cell_angle_gamma 90.00
_symmetry_space_group_name_H-M 'P 1'
_symmetry_Int_Tables_number 1
loop_
_symmetry_equiv_pos_as_xyz
'x,y,z'
loop_
_atom_site_label
_atom_site_fract_x
_atom_site_fract_y
_atom_site_fract_z
In1 0.000 0.000 0.000
Pd1 0.000 0.500 0.279
Pd2 0.000 0.500 0.721
Pd3 0.500 0.000 0.279
Pd4 0.500 0.000 0.721
Pd5 0.500 0.500 0.000
Se1 0.500 0.500 0.500
```



(3)
Material: Sc2TlHg
Method: DFT, r2SCAN
State: optimized geometry

- SG = No. 225
- E_form (eV/atom) = -0.413

The structure in CIF format:
```
data_Sc2TlHg
_cell_length_a 5.013
_cell_length_b 5.013
_cell_length_c 5.013
_cell_angle_alpha 60.00
_cell_angle_beta 60.00
_cell_angle_gamma 60.00
_symmetry_space_group_name_H-M 'P 1'
_symmetry_Int_Tables_number 1
loop_
_symmetry_equiv_pos_as_xyz
'x,y,z'
loop_
_atom_site_label
_atom_site_fract_x
_atom_site_fract_y
_atom_site_fract_z
Sc1 0.250 0.250 0.250
Sc2 0.750 0.750 0.750
Tl1 0.000 0.000 0.000
Hg1 0.500 0.500 0.500
```



(4)
Material: Ca2ZnMoO6
Method: DFT, r2SCAN
State: optimized geometry

- SG = No. 225
- E_form (eV/atom) = -2.493

The structure in CIF format:
```
data_Ca2ZnMoO6
_cell_length_a 5.527
_cell_length_b 5.527
_cell_length_c 5.527
_cell_angle_alpha 60.00
_cell_angle_beta 60.00
_cell_angle_gamma 60.00
_symmetry_space_group_name_H-M 'P 1'
_symmetry_Int_Tables_number 1
loop_
_symmetry_equiv_pos_as_xyz
'x,y,z'
loop_
_atom_site_label
_atom_site_fract_x
_atom_site_fract_y
_atom_site_fract_z
Ca1 0.250 0.250 0.250
Ca2 0.750 0.750 0.750
Zn1 0.000 0.000 0.000
Mo1 0.500 0.500 0.500
O1 0.258 0.258 0.742
O2 0.258 0.742 0.258
O3 0.258 0.742 0.742
O4 0.742 0.258 0.258
O5 0.742 0.258 0.742
O6 0.742 0.742 0.258
```



(5)
Material: DyGaCu
Method: DFT, r2SCAN
State: optimized geometry

- SG = No. 2
- E_form (eV/atom) = -0.564

The structure in CIF format:
```
data_DyGaCu
_cell_length_a 4.299
_cell_length_b 5.447
_cell_length_c 5.627
_cell_angle_alpha 84.33
_cell_angle_beta 67.62
_cell_angle_gamma 66.77
_symmetry_space_group_name_H-M 'P 1'
_symmetry_Int_Tables_number 1
loop_
_symmetry_equiv_pos_as_xyz
'x,y,z'
loop_
_atom_site_label
_atom_site_fract_x
_atom_site_fract_y
_atom_site_fract_z
Dy1 0.243 0.220 0.296
Dy2 0.757 0.780 0.704
Ga1 0.053 0.781 0.113
Ga2 0.947 0.219 0.887
Cu1 0.451 0.382 0.715
Cu2 0.549 0.618 0.285
```



(6)
Material: LiHo2Al
Method: DFT, r2SCAN
State: optimized geometry

- SG = No. 139
- E_form (eV/atom) = -0.248

The structure in CIF format:
```
data_LiHo2Al
_cell_length_a 5.119
_cell_length_b 5.119
_cell_length_c 5.119
_cell_angle_alpha 120.07
_cell_angle_beta 120.07
_cell_angle_gamma 89.88
_symmetry_space_group_name_H-M 'P 1'
_symmetry_Int_Tables_number 1
loop_
_symmetry_equiv_pos_as_xyz
'x,y,z'
loop_
_atom_site_label
_atom_site_fract_x
_atom_site_fract_y
_atom_site_fract_z
Li1 0.000 0.000 0.000
Ho1 0.250 0.750 0.500
Ho2 0.750 0.250 0.500
Al1 0.500 0.500 0.000
```



(7)
Material: KSbO3
Method: DFT, r2SCAN
State: optimized geometry

- SG = No. 148
- E_form (eV/atom) = -1.821

The structure in CIF format:
```
data_KSbO3
_cell_length_a 6.840
_cell_length_b 6.840
_cell_length_c 6.840
_cell_angle_alpha 46.48
_cell_angle_beta 46.48
_cell_angle_gamma 46.48
_symmetry_space_group_name_H-M 'P 1'
_symmetry_Int_Tables_number 1
loop_
_symmetry_equiv_pos_as_xyz
'x,y,z'
loop_
_atom_site_label
_atom_site_fract_x
_atom_site_fract_y
_atom_site_fract_z
K1 0.142 0.142 0.142
K2 0.858 0.858 0.858
Sb1 0.336 0.336 0.336
Sb2 0.664 0.664 0.664
O1 0.057 0.667 0.463
O2 0.333 0.537 0.943
O3 0.463 0.057 0.667
O4 0.537 0.943 0.333
O5 0.667 0.463 0.057
O6 0.943 0.333 0.537
```



(8)
Material: PaAgO3
Method: DFT, r2SCAN
State: optimized geometry

- SG = No. 221
- E_form (eV/atom) = -2.633

The structure in CIF format:
```
data_PaAgO3
_cell_length_a 4.315
_cell_length_b 4.315
_cell_length_c 4.315
_cell_angle_alpha 90.00
_cell_angle_beta 90.00
_cell_angle_gamma 90.00
_symmetry_space_group_name_H-M 'P 1'
_symmetry_Int_Tables_number 1
loop_
_symmetry_equiv_pos_as_xyz
'x,y,z'
loop_
_atom_site_label
_atom_site_fract_x
_atom_site_fract_y
_atom_site_fract_z
Pa1 0.000 0.000 0.000
Ag1 0.500 0.500 0.500
O1 0.000 0.000 0.500
O2 0.000 0.500 0.000
O3 0.500 0.000 0.000
```



(9)
Material: BaMo6S8
Method: DFT, r2SCAN
State: optimized geometry

- SG = No. 148
- E_form (eV/atom) = -1.035

The structure in CIF format:
```
data_BaMo6S8
_cell_length_a 6.717
_cell_length_b 6.717
_cell_length_c 6.717
_cell_angle_alpha 88.76
_cell_angle_beta 88.76
_cell_angle_gamma 88.76
_symmetry_space_group_name_H-M 'P 1'
_symmetry_Int_Tables_number 1
loop_
_symmetry_equiv_pos_as_xyz
'x,y,z'
loop_
_atom_site_label
_atom_site_fract_x
_atom_site_fract_y
_atom_site_fract_z
Ba1 0.000 0.000 0.000
Mo1 0.239 0.565 0.418
Mo2 0.418 0.239 0.565
Mo3 0.435 0.582 0.761
Mo4 0.565 0.418 0.239
Mo5 0.582 0.761 0.435
Mo6 0.761 0.435 0.582
S1 0.123 0.391 0.730
S2 0.254 0.254 0.254
S3 0.270 0.877 0.609
S4 0.391 0.730 0.123
S5 0.609 0.270 0.877
S6 0.730 0.123 0.391
S7 0.746 0.746 0.746
S8 0.877 0.609 0.270
```



(10)
Material: NbPt2
Method: DFT, r2SCAN
State: optimized geometry

- SG = No. 71
- E_form (eV/atom) = -0.749

The structure in CIF format:
```
data_NbPt2
_cell_length_a 4.915
_cell_length_b 4.915
_cell_length_c 4.915
_cell_angle_alpha 146.77
_cell_angle_beta 132.05
_cell_angle_gamma 59.58
_symmetry_space_group_name_H-M 'P 1'
_symmetry_Int_Tables_number 1
loop_
_symmetry_equiv_pos_as_xyz
'x,y,z'
loop_
_atom_site_label
_atom_site_fract_x
_atom_site_fract_y
_atom_site_fract_z
Nb1 0.000 0.000 0.000
Pt1 0.335 0.335 0.000
Pt2 0.665 0.665 0.000
```



(11)
Material: LaNiSb2
Method: DFT, r2SCAN
State: optimized geometry

- SG = No. 129
- E_form (eV/atom) = -0.846

The structure in CIF format:
```
data_LaNiSb2
_cell_length_a 4.428
_cell_length_b 4.428
_cell_length_c 10.054
_cell_angle_alpha 90.00
_cell_angle_beta 90.00
_cell_angle_gamma 90.00
_symmetry_space_group_name_H-M 'P 1'
_symmetry_Int_Tables_number 1
loop_
_symmetry_equiv_pos_as_xyz
'x,y,z'
loop_
_atom_site_label
_atom_site_fract_x
_atom_site_fract_y
_atom_site_fract_z
La1 0.250 0.250 0.243
La2 0.750 0.750 0.757
Ni1 0.250 0.750 0.000
Ni2 0.750 0.250 0.000
Sb1 0.250 0.250 0.877
Sb2 0.250 0.750 0.500
Sb3 0.750 0.250 0.500
Sb4 0.750 0.750 0.123
```



> The lowest E_form belongs to which entry?

PaAgO3